# 1
# MoP5O15 | Materials Project | PBE with a Hubbard U | optimized geometry
data_MoP5O15
_chemical_formula_sum 'Mo4 P20 O60'
_space_group_name_H-M_alt 'P 1 21/c 1'
_space_group_IT_number 14
_cell_length_a 9.400
_cell_length_b 14.026
_cell_length_c 10.652
_cell_angle_alpha 90.00
_cell_angle_beta 110.72
_cell_angle_gamma 90.00
loop_
_space_group_symop_operation_xyz
'x,y,z'
'-x,-y,-z'
'-x,y+1/2,-z+1/2'
'x,-y+1/2,z+1/2'
loop_
_atom_site_label
_atom_site_type_symbol
_atom_site_fract_x
_atom_site_fract_y
_atom_site_fract_z
Mo1 Mo 0.001 0.000 0.251
P1 P 0.023 0.142 0.009
P2 P 0.026 0.144 0.508
P3 P 0.317 0.077 0.991
P4 P 0.321 0.083 0.485
P5 P 0.495 0.748 0.519
O1 O 0.001 0.621 0.862
O2 O 0.006 0.621 0.362
O3 O 0.028 0.749 0.534
O4 O 0.059 0.581 0.110
O5 O 0.061 0.580 0.610
O6 O 0.201 0.143 0.040
O7 O 0.202 0.147 0.537
O8 O 0.215 0.026 0.862
O9 O 0.217 0.028 0.361
O10 O 0.374 0.745 0.581
O11 O 0.386 0.167 0.417
O12 O 0.392 0.159 0.930
O13 O 0.419 0.021 0.103
O14 O 0.422 0.746 0.868
O15 O 0.430 0.033 0.599
# **Energy of formation from the pure elements**: -2.35 eV per atom
# **Density**: 2.48 g cm⁻³
# **Polymorph energy (0 for the lowest one)**: 2.59 eV per formula unit

# 2
# Mo2P3O13 | Materials Project | PBE with a Hubbard U | optimized geometry
data_Mo2P3O13
_chemical_formula_sum 'Mo8 P12 O52'
_space_group_name_H-M_alt 'P 1 21 1'
_space_group_IT_number 4
_cell_length_a 6.436
_cell_length_b 19.234
_cell_length_c 9.905
_cell_angle_alpha 90.00
_cell_angle_beta 106.49
_cell_angle_gamma 90.00
loop_
_space_group_symop_operation_xyz
'x,y,z'
'-x,y+1/2,-z'
loop_
_atom_site_label
_atom_site_type_symbol
_atom_site_fract_x
_atom_site_fract_y
_atom_site_fract_z
Mo1 Mo 0.061 0.000 0.381
Mo2 Mo 0.130 0.716 0.061
Mo3 Mo 0.368 0.031 0.932
Mo4 Mo 0.437 0.745 0.611
P1 P 0.018 0.282 0.296
P2 P 0.090 0.549 0.968
P3 P 0.238 0.907 0.690
P4 P 0.260 0.839 0.303
P5 P 0.411 0.196 0.038
P6 P 0.484 0.463 0.712
O1 O 0.026 0.865 0.699
O2 O 0.035 0.764 0.860
O3 O 0.041 0.508 0.833
O4 O 0.055 0.085 0.420
O5 O 0.067 0.029 0.946
O6 O 0.076 0.629 0.939
O7 O 0.095 0.888 0.332
O8 O 0.123 0.746 0.625
O9 O 0.163 0.966 0.587
O10 O 0.171 0.807 0.150
O11 O 0.180 0.216 0.946
O12 O 0.202 0.668 0.211
O13 O 0.247 0.471 0.628
O14 O 0.255 0.275 0.379
O15 O 0.297 0.080 0.783
O16 O 0.322 0.531 0.061
O17 O 0.326 0.940 0.842
O18 O 0.336 0.780 0.405
O19 O 0.375 0.000 0.366
O20 O 0.404 0.858 0.663
O21 O 0.423 0.116 0.059
O22 O 0.431 0.718 0.047
O23 O 0.442 0.660 0.568
O24 O 0.461 0.234 0.176
O25 O 0.463 0.981 0.132
O26 O 0.473 0.880 0.294
# **Energy of formation from the pure elements**: -2.37 eV per atom
# **Density**: 2.78 g cm⁻³
# **Polymorph energy (0 for the lowest one)**: 0.00 eV per formula unit

# 3
# MoP2O7 | Materials Project | PBE with a Hubbard U | optimized geometry
data_MoP2O7
_chemical_formula_sum 'Mo4 P8 O28'
_space_group_name_H-M_alt 'P a -3'
_space_group_IT_number 205
_space_group_name_Hall '-P 2ac 2ab 3'
_cell_length_a 8.395
_cell_length_b 8.395
_cell_length_c 8.395
_cell_angle_alpha 90.00
_cell_angle_beta 90.00
_cell_angle_gamma 90.00
loop_
_atom_site_label
_atom_site_type_symbol
_atom_site_fract_x
_atom_site_fract_y
_atom_site_fract_z
Mo1 Mo 0.000 0.000 0.000
P1 P 0.109 0.609 0.891
O1 O 0.000 0.000 0.500
O2 O 0.056 0.720 0.414
# **Energy of formation from the pure elements**: -2.48 eV per atom
# **Density**: 3.03 g cm⁻³
# **Polymorph energy (0 for the lowest one)**: 0.25 eV per formula unit

# 4
# Mo8P6O49 | Materials Project | PBE with a Hubbard U | optimized geometry
data_Mo8P6O49
_chemical_formula_sum 'Mo8 P6 O49'
_space_group_name_H-M_alt 'P -1'
_space_group_IT_number 2
_cell_length_a 8.678
_cell_length_b 10.746
_cell_length_c 13.545
_cell_angle_alpha 85.92
_cell_angle_beta 82.17
_cell_angle_gamma 67.05
loop_
_space_group_symop_operation_xyz
'x,y,z'
'-x,-y,-z'
loop_
_atom_site_label
_atom_site_type_symbol
_atom_site_fract_x
_atom_site_fract_y
_atom_site_fract_z
Mo1 Mo 0.121 0.127 0.256
Mo2 Mo 0.199 0.408 0.829
Mo3 Mo 0.228 0.793 0.476
Mo4 Mo 0.343 0.608 0.049
P1 P 0.038 0.299 0.043
P2 P 0.291 0.658 0.696
P3 P 0.398 0.806 0.235
O1 O 0.031 0.817 0.451
O2 O 0.033 0.574 0.889
O3 O 0.075 0.367 0.764
O4 O 0.082 0.037 0.360
O5 O 0.087 0.048 0.815
O6 O 0.110 0.711 0.002
O7 O 0.125 0.764 0.749
O8 O 0.133 0.172 0.101
O9 O 0.168 0.323 0.959
O10 O 0.187 0.240 0.300
O11 O 0.222 0.929 0.536
O12 O 0.241 0.002 0.793
O13 O 0.256 0.529 0.142
O14 O 0.268 0.655 0.580
O15 O 0.277 0.517 0.734
O16 O 0.279 0.401 0.450
O17 O 0.313 0.732 0.184
O18 O 0.332 0.286 0.486
O19 O 0.332 0.959 0.214
O20 O 0.373 0.774 0.024
O21 O 0.380 0.772 0.350
O22 O 0.407 0.252 0.797
O23 O 0.410 0.496 0.936
O24 O 0.449 0.668 0.713
O25 O 0.500 0.000 0.000
# **Energy of formation from the pure elements**: -1.38 eV per atom
# **Density**: 2.50 g cm⁻³
# **Polymorph energy (0 for the lowest one)**: 0.00 eV per formula unit

# 5
# MoP2O7 | Materials Project | PBE with a Hubbard U | optimized geometry
data_MoP2O7
_chemical_formula_sum 'Mo4 P8 O28'
_space_group_name_H-M_alt 'P 1 21/c 1'
_space_group_IT_number 14
_cell_length_a 7.220
_cell_length_b 8.322
_cell_length_c 9.184
_cell_angle_alpha 90.00
_cell_angle_beta 114.80
_cell_angle_gamma 90.00
loop_
_space_group_symop_operation_xyz
'x,y,z'
'-x,-y,-z'
'-x,y+1/2,-z+1/2'
'x,-y+1/2,z+1/2'
loop_
_atom_site_label
_atom_site_type_symbol
_atom_site_fract_x
_atom_site_fract_y
_atom_site_fract_z
Mo1 Mo 0.234 0.089 0.112
P1 P 0.072 0.731 0.748
P2 P 0.451 0.737 0.034
O1 O 0.012 0.581 0.624
O2 O 0.094 0.247 0.687
O3 O 0.126 0.623 0.184
O4 O 0.262 0.649 0.896
O5 O 0.376 0.606 0.577
O6 O 0.389 0.231 0.032
O7 O 0.467 0.111 0.334
# **Energy of formation from the pure elements**: -2.39 eV per atom
# **Density**: 3.58 g cm⁻³
# **Polymorph energy (0 for the lowest one)**: 1.18 eV per formula unit

# 6
# MoP2O7 | Materials Project | PBE with a Hubbard U | optimized geometry
data_MoP2O7
_chemical_formula_sum 'Mo4 P8 O28'
_space_group_name_H-M_alt 'P 1 21/c 1'
_space_group_IT_number 14
_cell_length_a 6.997
_cell_length_b 8.255
_cell_length_c 9.773
_cell_angle_alpha 90.00
_cell_angle_beta 108.82
_cell_angle_gamma 90.00
loop_
_space_group_symop_operation_xyz
'x,y,z'
'-x,-y,-z'
'-x,y+1/2,-z+1/2'
'x,-y+1/2,z+1/2'
loop_
_atom_site_label
_atom_site_type_symbol
_atom_site_fract_x
_atom_site_fract_y
_atom_site_fract_z
Mo1 Mo 0.221 0.226 0.009
P1 P 0.043 0.591 0.294
P2 P 0.436 0.036 0.796
O1 O 0.001 0.231 0.119
O2 O 0.033 0.073 0.868
O3 O 0.089 0.093 0.365
O4 O 0.274 0.605 0.293
O5 O 0.361 0.053 0.155
O6 O 0.397 0.101 0.642
O7 O 0.425 0.172 0.899
# **Energy of formation from the pure elements**: -2.47 eV per atom
# **Density**: 3.36 g cm⁻³
# **Polymorph energy (0 for the lowest one)**: 0.37 eV per formula unit

# 7
# Mo2P3O13 | Materials Project | PBE with a Hubbard U | optimized geometry
data_Mo2P3O13
_chemical_formula_sum 'Mo4 P6 O26'
_space_group_name_H-M_alt 'P -1'
_space_group_IT_number 2
_cell_length_a 6.442
_cell_length_b 7.548
_cell_length_c 11.256
_cell_angle_alpha 76.38
_cell_angle_beta 86.21
_cell_angle_gamma 80.06
loop_
_space_group_symop_operation_xyz
'x,y,z'
'-x,-y,-z'
loop_
_atom_site_label
_atom_site_type_symbol
_atom_site_fract_x
_atom_site_fract_y
_atom_site_fract_z
Mo1 Mo 0.214 0.210 0.093
Mo2 Mo 0.240 0.203 0.592
P1 P 0.118 0.477 0.309
P2 P 0.260 0.800 0.335
P3 P 0.264 0.934 0.891
O1 O 0.078 0.788 0.430
O2 O 0.091 0.809 0.908
O3 O 0.109 0.455 0.660
O4 O 0.143 0.382 0.199
O5 O 0.221 0.367 0.958
O6 O 0.222 0.099 0.784
O7 O 0.238 0.651 0.254
O8 O 0.243 0.989 0.249
O9 O 0.247 0.351 0.415
O10 O 0.268 0.999 0.012
O11 O 0.311 0.984 0.572
O12 O 0.471 0.731 0.397
O13 O 0.478 0.807 0.882
# **Energy of formation from the pure elements**: -2.36 eV per atom
# **Density**: 3.13 g cm⁻³
# **Polymorph energy (0 for the lowest one)**: 0.23 eV per formula unit

# 8
# MoP2O7 | Materials Project | PBE with a Hubbard U | optimized geometry
data_MoP2O7
_chemical_formula_sum 'Mo2 P4 O14'
_space_group_name_H-M_alt 'P 1 21 1'
_space_group_IT_number 4
_cell_length_a 4.988
_cell_length_b 8.403
_cell_length_c 7.066
_cell_angle_alpha 90.00
_cell_angle_beta 106.14
_cell_angle_gamma 90.00
loop_
_space_group_symop_operation_xyz
'x,y,z'
'-x,y+1/2,-z'
loop_
_atom_site_label
_atom_site_type_symbol
_atom_site_fract_x
_atom_site_fract_y
_atom_site_fract_z
Mo1 Mo 0.212 0.000 0.226
P1 P 0.246 0.733 0.606
P2 P 0.386 0.315 0.010
O1 O 0.003 0.672 0.679
O2 O 0.144 0.832 0.422
O3 O 0.149 0.436 0.970
O4 O 0.284 0.144 0.010
O5 O 0.425 0.855 0.770
O6 O 0.430 0.832 0.131
O7 O 0.440 0.594 0.587
# **Energy of formation from the pure elements**: -2.51 eV per atom
# **Density**: 3.15 g cm⁻³
# **Polymorph energy (0 for the lowest one)**: 0.00 eV per formula unit